1.
# Ce2Mg

A relaxed structure of Ce2Mg (PBE-GGA, Materials Project).

The structure in POSCAR format:
```
Ce2Mg
1.0
-3.437 -4.555 -0.277
2.130 -4.341 -3.042
1.842 -4.833 3.335
Ce Mg
4 2
direct
0.445 0.261 0.267
0.739 0.555 0.233
0.261 0.445 0.767
0.555 0.739 0.733
0.906 0.094 0.750
0.094 0.906 0.250
```

Calculated density = 6.4 g cm⁻³

=====

2.
# Ce2Mg

A relaxed structure of Ce2Mg (PBE-GGA, Materials Project).

The structure in POSCAR format:
```
Ce2Mg
1.0
1.604 -9.234 0.000
1.604 9.234 0.000
0.000 0.000 5.254
Ce Mg
4 2
direct
0.797 0.203 0.250
0.873 0.127 0.750
0.203 0.797 0.750
0.127 0.873 0.250
0.540 0.460 0.750
0.460 0.540 0.250
```

Calculated density = 6.5 g cm⁻³

=====

Relative energy of each structure, in meV/atom: 1 28; 2 0.